[1]
The following is a DFT calculation (PBE) of a relaxed Zr5Sb3C crystal.

a = 8.447 Å, b = 8.447 Å, c = 5.890 Å
α = 90.00°, β = 90.00°, γ = 120.00°
Element x y z (fractional)
Zr1 0.220 0.000 0.250
Zr2 0.780 0.000 0.750
Zr3 0.000 0.780 0.750
Zr4 0.333 0.667 0.500
Zr5 0.667 0.333 0.000
Zr6 0.333 0.667 0.000
Zr7 0.667 0.333 0.500
Zr8 0.220 0.220 0.750
Zr9 0.000 0.220 0.250
Zr10 0.780 0.780 0.250
Sb1 0.405 0.405 0.250
Sb2 0.595 0.000 0.250
Sb3 0.595 0.595 0.750
Sb4 0.000 0.405 0.750
Sb5 0.405 0.000 0.750
Sb6 0.000 0.595 0.250
C1 0.000 0.000 0.000
C2 0.000 0.000 0.500

ΔE_f = -0.77 eV/atom
Space group = No. 193

[2]
The following is a DFT calculation (PBE) of a relaxed TmCo4B crystal.

a = 4.959 Å, b = 4.959 Å, c = 6.827 Å
α = 90.00°, β = 90.00°, γ = 120.00°
Element x y z (fractional)
Co1 0.500 0.500 0.712
Co2 0.667 0.333 0.000
Co3 0.333 0.667 0.000
Co4 0.000 0.500 0.712
Co5 0.500 0.000 0.288
Co6 0.000 0.500 0.288
Co7 0.500 0.500 0.288
Co8 0.500 0.000 0.712
B1 0.333 0.667 0.500
B2 0.667 0.333 0.500
Tm1 0.000 0.000 0.500
Tm2 0.000 0.000 0.000

ΔE_f = -0.33 eV/atom
Space group = No. 191
Magnetization = 7.348 μB/cell

[3]
The following is a DFT calculation (PBE) of a relaxed Mg6Te5O16 crystal.

a = 10.404 Å, b = 11.221 Å, c = 13.089 Å
α = 90.00°, β = 90.00°, γ = 90.00°
Element x y z (fractional)
Te1 0.750 0.465 0.637
Te2 0.250 0.198 0.817
Te3 0.539 0.991 0.363
Te4 0.250 0.535 0.363
Te5 0.961 0.991 0.363
Te6 0.250 0.035 0.137
Te7 0.039 0.509 0.863
Te8 0.250 0.220 0.507
Te9 0.539 0.491 0.137
Te10 0.750 0.780 0.493
Te11 0.461 0.509 0.863
Te12 0.750 0.280 0.007
Te13 0.039 0.009 0.637
Te14 0.250 0.698 0.683
Te15 0.750 0.302 0.317
Te16 0.750 0.802 0.183
Te17 0.961 0.491 0.137
Te18 0.461 0.009 0.637
Te19 0.250 0.720 0.993
Te20 0.750 0.965 0.863
Mg1 0.425 0.484 0.606
Mg2 0.909 0.750 0.730
Mg3 0.425 0.984 0.894
Mg4 0.931 0.751 0.993
Mg5 0.431 0.749 0.493
Mg6 0.569 0.251 0.507
Mg7 0.591 0.750 0.730
Mg8 0.575 0.516 0.394
Mg9 0.091 0.250 0.270
Mg10 0.409 0.250 0.270
Mg11 0.431 0.249 0.007
Mg12 0.075 0.984 0.894
Mg13 0.591 0.250 0.770
Mg14 0.909 0.250 0.770
Mg15 0.409 0.750 0.230
Mg16 0.069 0.249 0.007
Mg17 0.569 0.751 0.993
Mg18 0.925 0.016 0.106
Mg19 0.925 0.516 0.394
Mg20 0.075 0.484 0.606
Mg21 0.091 0.750 0.230
Mg22 0.575 0.016 0.106
Mg23 0.069 0.749 0.493
Mg24 0.931 0.251 0.507
O1 0.389 0.814 0.945
O2 0.889 0.186 0.055
O3 0.250 0.277 0.369
O4 0.250 0.027 0.833
O5 0.889 0.686 0.445
O6 0.516 0.923 0.757
O7 0.484 0.077 0.243
O8 0.611 0.440 0.542
O9 0.556 0.326 0.350
O10 0.484 0.577 0.257
O11 0.056 0.674 0.650
O12 0.079 0.863 0.356
O13 0.889 0.440 0.542
O14 0.016 0.077 0.243
O15 0.611 0.186 0.055
O16 0.111 0.060 0.042
O17 0.250 0.282 0.946
O18 0.750 0.973 0.167
O19 0.750 0.473 0.333
O20 0.543 0.896 0.549
O21 0.750 0.307 0.683
O22 0.457 0.604 0.049
O23 0.750 0.723 0.631
O24 0.250 0.777 0.131
O25 0.556 0.826 0.150
O26 0.516 0.423 0.743
O27 0.016 0.577 0.257
O28 0.056 0.174 0.850
O29 0.111 0.814 0.945
O30 0.921 0.137 0.644
O31 0.043 0.104 0.451
O32 0.444 0.674 0.650
O33 0.944 0.326 0.350
O34 0.421 0.863 0.356
O35 0.389 0.314 0.555
O36 0.750 0.718 0.054
O37 0.543 0.396 0.951
O38 0.079 0.363 0.144
O39 0.944 0.826 0.150
O40 0.750 0.223 0.869
O41 0.457 0.104 0.451
O42 0.389 0.560 0.458
O43 0.957 0.896 0.549
O44 0.250 0.193 0.183
O45 0.250 0.782 0.554
O46 0.421 0.363 0.144
O47 0.444 0.174 0.850
O48 0.250 0.527 0.667
O49 0.984 0.923 0.757
O50 0.579 0.637 0.856
O51 0.750 0.807 0.817
O52 0.957 0.396 0.951
O53 0.579 0.137 0.644
O54 0.111 0.314 0.555
O55 0.250 0.693 0.317
O56 0.111 0.560 0.458
O57 0.921 0.637 0.856
O58 0.889 0.940 0.958
O59 0.043 0.604 0.049
O60 0.611 0.940 0.958
O61 0.611 0.686 0.445
O62 0.389 0.060 0.042
O63 0.750 0.218 0.446
O64 0.984 0.423 0.743

ΔE_f = -2.26 eV/atom
Space group = No. 62
Magnetization = 0.002 μB/cell

[4]
The following is a DFT calculation (PBE) of a relaxed SiO2 crystal.

a = 13.604 Å, b = 13.604 Å, c = 13.604 Å
α = 60.00°, β = 60.00°, γ = 60.00°
Element x y z (fractional)
O1 0.022 0.217 0.543
O2 0.348 0.652 0.000
O3 0.543 0.217 0.217
O4 0.022 0.543 0.217
O5 0.913 0.587 0.913
O6 0.000 0.000 0.348
O7 0.978 0.783 0.457
O8 0.587 0.587 0.913
O9 0.543 0.217 0.022
O10 0.000 0.652 0.348
O11 0.783 0.783 0.978
O12 0.587 0.913 0.587
O13 0.587 0.913 0.913
O14 0.217 0.217 0.022
O15 0.783 0.457 0.783
O16 0.913 0.913 0.587
O17 0.783 0.457 0.978
O18 0.000 0.348 0.000
O19 0.000 0.000 0.652
O20 0.978 0.783 0.783
O21 0.783 0.978 0.457
O22 0.783 0.783 0.457
O23 0.217 0.022 0.543
O24 0.217 0.217 0.543
O25 0.652 0.000 0.000
O26 0.413 0.087 0.087
O27 0.022 0.217 0.217
O28 0.457 0.783 0.978
O29 0.217 0.022 0.217
O30 0.087 0.413 0.413
O31 0.413 0.087 0.413
O32 0.457 0.978 0.783
O33 0.652 0.000 0.348
O34 0.217 0.543 0.022
O35 0.348 0.000 0.000
O36 0.543 0.022 0.217
O37 0.978 0.457 0.783
O38 0.087 0.087 0.413
O39 0.913 0.587 0.587
O40 0.000 0.652 0.000
O41 0.413 0.413 0.087
O42 0.457 0.783 0.783
O43 0.652 0.348 0.000
O44 0.087 0.413 0.087
O45 0.217 0.543 0.217
O46 0.000 0.348 0.652
O47 0.348 0.000 0.652
O48 0.783 0.978 0.783
Si1 0.538 0.300 0.081
Si2 0.081 0.081 0.300
Si3 0.919 0.462 0.919
Si4 0.919 0.919 0.700
Si5 0.300 0.081 0.081
Si6 0.081 0.538 0.300
Si7 0.081 0.300 0.081
Si8 0.919 0.462 0.700
Si9 0.919 0.700 0.919
Si10 0.462 0.919 0.919
Si11 0.538 0.081 0.300
Si12 0.700 0.462 0.919
Si13 0.919 0.700 0.462
Si14 0.462 0.700 0.919
Si15 0.081 0.081 0.538
Si16 0.300 0.081 0.538
Si17 0.919 0.919 0.462
Si18 0.700 0.919 0.919
Si19 0.081 0.538 0.081
Si20 0.538 0.081 0.081
Si21 0.300 0.538 0.081
Si22 0.081 0.300 0.538
Si23 0.462 0.919 0.700
Si24 0.700 0.919 0.462

ΔE_f = -3.24 eV/atom
Space group = No. 225

[5]
The following is a DFT calculation (PBE) of a relaxed ThHg3 crystal.

a = 3.519 Å, b = 3.519 Å, c = 10.055 Å
α = 90.00°, β = 90.00°, γ = 120.00°
Element x y z (fractional)
Hg1 0.333 0.667 0.739
Hg2 0.333 0.667 0.261
Hg3 0.667 0.333 0.500
Th1 0.667 0.333 0.000

ΔE_f = -0.04 eV/atom
Space group = No. 187
Magnetization = 0.000 μB/cell

[6]
The following is a DFT calculation (PBE) of a relaxed Y2AlN3 crystal.

a = 5.958 Å, b = 10.554 Å, c = 11.176 Å
α = 90.00°, β = 90.00°, γ = 27.66°
Element x y z (fractional)
Al1 0.000 0.249 0.837
Al2 0.000 0.749 0.663
Al3 0.000 0.751 0.163
Al4 0.000 0.251 0.337
N1 0.000 0.348 0.481
N2 0.500 0.929 0.750
N3 0.000 0.652 0.519
N4 0.500 0.571 0.250
N5 0.000 0.848 0.019
N6 0.000 0.927 0.638
N7 0.000 0.573 0.138
N8 0.000 0.073 0.362
N9 0.000 0.152 0.981
N10 0.500 0.071 0.250
N11 0.000 0.427 0.862
N12 0.500 0.429 0.750
Y1 0.000 0.358 0.077
Y2 0.000 0.971 0.849
Y3 0.000 0.858 0.423
Y4 0.000 0.529 0.349
Y5 0.000 0.029 0.151
Y6 0.000 0.642 0.923
Y7 0.000 0.142 0.577
Y8 0.000 0.471 0.651

ΔE_f = -1.59 eV/atom
Space group = No. 64
Magnetization = 0.001 μB/cell

[7]
The following is a DFT calculation (PBE) of a relaxed K2H2C2O5 crystal.

a = 5.635 Å, b = 5.635 Å, c = 10.799 Å
α = 73.51°, β = 73.51°, γ = 68.07°
Element x y z (fractional)
K1 0.037 0.700 0.631
K2 0.700 0.037 0.131
K3 0.300 0.963 0.869
K4 0.963 0.300 0.369
C1 0.090 0.442 0.052
C2 0.558 0.910 0.448
C3 0.910 0.558 0.948
C4 0.442 0.090 0.552
O1 0.166 0.196 0.092
O2 0.606 0.143 0.591
O3 0.834 0.804 0.908
O4 0.857 0.394 0.909
O5 0.394 0.857 0.409
O6 0.143 0.606 0.091
O7 0.196 0.166 0.592
O8 0.503 0.497 0.750
O9 0.497 0.503 0.250
O10 0.804 0.834 0.408
H1 0.366 0.561 0.193
H2 0.634 0.439 0.807
H3 0.439 0.634 0.307
H4 0.561 0.366 0.693

ΔE_f = -1.74 eV/atom
Space group = No. 15
Magnetization = 0.001 μB/cell

[8]
The following is a DFT calculation (PBE) of a relaxed HfS3 crystal.

a = 3.612 Å, b = 5.149 Å, c = 9.706 Å
α = 96.99°, β = 90.00°, γ = 90.00°
Element x y z (fractional)
S1 0.750 0.761 0.550
S2 0.250 0.239 0.450
S3 0.750 0.478 0.194
S4 0.250 0.522 0.806
S5 0.750 0.884 0.196
S6 0.250 0.116 0.804
Hf1 0.750 0.283 0.643
Hf2 0.250 0.717 0.357

ΔE_f = -1.57 eV/atom
Space group = No. 11

[9]
The following is a DFT calculation (PBE) of a relaxed Mg2Ge crystal.

a = 4.543 Å, b = 4.543 Å, c = 4.543 Å
α = 60.00°, β = 60.00°, γ = 60.00°
Element x y z (fractional)
Ge1 0.000 0.000 0.000
Mg1 0.250 0.250 0.250
Mg2 0.750 0.750 0.750

ΔE_f = -0.27 eV/atom
Space group = No. 225

[10]
The following is a DFT calculation (PBE) of a relaxed K2Zn2S3O12 crystal.

a = 10.087 Å, b = 10.087 Å, c = 10.087 Å
α = 90.00°, β = 90.00°, γ = 90.00°
Element x y z (fractional)
O1 0.250 0.594 0.660
O2 0.406 0.160 0.250
O3 0.499 0.441 0.260
O4 0.001 0.559 0.760
O5 0.172 0.995 0.580
O6 0.005 0.080 0.328
O7 0.462 0.190 0.725
O8 0.594 0.660 0.250
O9 0.750 0.906 0.340
O10 0.160 0.250 0.406
O11 0.501 0.941 0.240
O12 0.538 0.690 0.775
O13 0.760 0.001 0.559
O14 0.828 0.495 0.920
O15 0.190 0.725 0.462
O16 0.660 0.250 0.594
O17 0.240 0.501 0.941
O18 0.038 0.810 0.225
O19 0.441 0.260 0.499
O20 0.250 0.406 0.160
O21 0.920 0.828 0.495
O22 0.559 0.760 0.001
O23 0.906 0.340 0.750
O24 0.260 0.499 0.441
O25 0.310 0.275 0.962
O26 0.999 0.059 0.740
O27 0.840 0.750 0.094
O28 0.740 0.999 0.059
O29 0.580 0.172 0.995
O30 0.750 0.094 0.840
O31 0.725 0.462 0.190
O32 0.340 0.750 0.906
O33 0.962 0.310 0.275
O34 0.275 0.962 0.310
O35 0.080 0.328 0.005
O36 0.059 0.740 0.999
O37 0.690 0.775 0.538
O38 0.941 0.240 0.501
O39 0.995 0.580 0.172
O40 0.505 0.420 0.672
O41 0.810 0.225 0.038
O42 0.775 0.538 0.690
O43 0.420 0.672 0.505
O44 0.225 0.038 0.810
O45 0.094 0.840 0.750
O46 0.328 0.005 0.080
O47 0.495 0.920 0.828
O48 0.672 0.505 0.420
Zn1 0.091 0.909 0.409
Zn2 0.166 0.666 0.834
Zn3 0.909 0.409 0.091
Zn4 0.591 0.591 0.591
Zn5 0.834 0.166 0.666
Zn6 0.409 0.091 0.909
Zn7 0.334 0.334 0.334
Zn8 0.666 0.834 0.166
S1 0.981 0.720 0.123
S2 0.519 0.280 0.623
S3 0.720 0.123 0.981
S4 0.481 0.780 0.877
S5 0.280 0.623 0.519
S6 0.623 0.519 0.280
S7 0.019 0.220 0.377
S8 0.780 0.877 0.481
S9 0.123 0.981 0.720
S10 0.220 0.377 0.019
S11 0.377 0.019 0.220
S12 0.877 0.481 0.780
K1 0.185 0.315 0.685
K2 0.949 0.551 0.449
K3 0.815 0.815 0.815
K4 0.551 0.449 0.949
K5 0.051 0.051 0.051
K6 0.449 0.949 0.551
K7 0.685 0.185 0.315
K8 0.315 0.685 0.185

ΔE_f = -2.03 eV/atom
Space group = No. 198

What did the eighth record say?
The following is a DFT calculation (PBE) of a relaxed HfS3 crystal.

a = 3.612 Å, b = 5.149 Å, c = 9.706 Å
α = 96.99°, β = 90.00°, γ = 90.00°
Element x y z (fractional)
S1 0.750 0.761 0.550
S2 0.250 0.239 0.450
S3 0.750 0.478 0.194
S4 0.250 0.522 0.806
S5 0.750 0.884 0.196
S6 0.250 0.116 0.804
Hf1 0.750 0.283 0.643
Hf2 0.250 0.717 0.357

ΔE_f = -1.57 eV/atom
Space group = No. 11

Repeat the eighth record exactly.
The following is a DFT calculation (PBE) of a relaxed HfS3 crystal.

a = 3.612 Å, b = 5.149 Å, c = 9.706 Å
α = 96.99°, β = 90.00°, γ = 90.00°
Element x y z (fractional)
S1 0.750 0.761 0.550
S2 0.250 0.239 0.450
S3 0.750 0.478 0.194
S4 0.250 0.522 0.806
S5 0.750 0.884 0.196
S6 0.250 0.116 0.804
Hf1 0.750 0.283 0.643
Hf2 0.250 0.717 0.357

ΔE_f = -1.57 eV/atom
Space group = No. 11

ΔE_f of number 5 (ThHg3)? -0.04 eV/atom

Among the records above, which one has the lowest ΔE_f? SiO2